Computed, not measured: an optimized crystal structure of LaDyMg2 at the PBE-GGA level of DFT.

## Properties
E_form (meV per atom): -83
VASP energy (eV/f.u.): -13.08

abc: 7.7486 7.7486 7.7486
angles: 90.00 90.00 90.00
Space group Fm-3m (No. 225)
Inequivalent atoms, fractional coordinates:
La (0.0000, 0.0000, 0.0000) (multiplicity 4)
Dy (0.0000, 0.0000, 0.5000) (multiplicity 4)
Mg (0.2500, 0.2500, 0.2500) (multiplicity 8)